Below is a geometry-optimized Cs3CdH5 structure, with properties calculated at the r2SCAN level.

Summary:
M_tot, μB per atom: 0.00

Unit cell a=8.4033 b=8.4033 c=12.6819 alpha=90.00 beta=90.00 gamma=90.00
Closest atoms and distances in Å follow each position.
Space group I4/mcm (No. 140)
One atom of each set of equivalent atoms:
Cs (0.0000, 0.0000, 0.2500) (multiplicity 4)  10 H 3.17-3.51
Cs (0.1806, 0.3194, 0.0000) (multiplicity 8)  8 H 3.08-3.32
Cd (0.0000, 0.5000, 0.2500) (multiplicity 4)  4 H 1.84
H (0.0000, 0.0000, 0.0000) (multiplicity 4)  6 Cs 3.08-3.17
H (0.1236, 0.3764, 0.3371) (multiplicity 16)  1 Cd 1.84



Below is a geometry-optimized CsLaCdTe3 structure, with properties calculated at the r2SCAN level.

Summary:
M_tot, μB per atom: 0.00

Unit cell a=4.7108 b=17.0339 c=12.2846 alpha=90.00 beta=90.00 gamma=90.00
Closest atoms and distances in Å follow each position.
Space group Cmcm (No. 63)
One atom of each set of equivalent atoms:
Cs (0.0000, 0.2493, 0.2500) (multiplicity 4)  8 Te 3.91-4.33, 2 Cd 4.37
La (0.0000, 0.5000, 0.0000) (multiplicity 4)  6 Te 3.25-3.27
Cd (0.0000, 0.0347, 0.7500) (multiplicity 4)  4 Te 2.82-2.92
Te (0.0000, 0.1247, 0.5572) (multiplicity 8)  1 Cd 2.82
Te (0.0000, 0.4337, 0.7500) (multiplicity 4)  2 Cd 2.92



Below is a geometry-optimized Cs5Tl11Cd2 structure, with properties calculated at the r2SCAN level.

Summary:
M_tot, μB per atom: 0.00

Unit cell a=5.6728 b=18.4346 c=13.4851 alpha=90.00 beta=90.00 gamma=90.00
Closest atoms and distances in Å follow each position.
Space group Amm2 (No. 38)
One atom of each set of equivalent atoms:
Cs (0.0000, 0.0000, 0.0000) (multiplicity 2)  6 Tl 3.90-4.00
Cs (0.0000, 0.1908, 0.2155) (multiplicity 4)  8 Tl 3.91-4.17
Cs (0.5000, 0.1914, 0.9280) (multiplicity 4)  8 Tl 3.88-4.17
Tl (0.0000, 0.0000, 0.3522) (multiplicity 2)  2 Cd 3.27, 8 Tl 3.42-3.49
Tl (0.0000, 0.0963, 0.7426) (multiplicity 4)  2 Cd 3.25, 6 Tl 3.34-3.55
Tl (0.0000, 0.1547, 0.5011) (multiplicity 4)  2 Cd 3.32, 6 Tl 3.35-3.49
Tl (0.5000, 0.0000, 0.2041) (multiplicity 2)  4 Tl 3.14-3.47
Tl (0.5000, 0.0000, 0.7910) (multiplicity 2)  2 Cd 3.29, 6 Tl 3.41-3.51
Tl (0.5000, 0.0995, 0.3926) (multiplicity 4)  6 Tl 3.14-3.45, 2 Cd 3.33
Tl (0.5000, 0.1536, 0.6373) (multiplicity 4)  2 Cd 3.29, 6 Tl 3.34-3.51
Cd (0.2505, 0.0000, 0.5704) (multiplicity 4)  2 Cd 2.83-2.84



Number 1: calculated total energy -460.11 eV for the cell shown. Number 2: calculated total energy -638.10 eV for the cell shown. Number 3: calculated total energy -1507.75 eV for the cell shown.